# 1
Material: Li16Ta2N8O
Method: DFT, PBE
State: optimized geometry Values from VASP.

```
&SYSTEM
  ibrav = 0, nat = 27, ntyp = 4
/
ATOMIC_SPECIES
Li 6.94 Li.upf
Ta 180.95 Ta.upf
N 14.01 N.upf
O 16.00 O.upf
CELL_PARAMETERS angstrom
8.696 -3.000 0.000
8.696 3.000 0.000
7.661 0.000 5.092
ATOMIC_POSITIONS angstrom
Li 10.459 0.000 2.126
Li 14.595 0.000 2.966
Li 1.946 0.000 0.396
Li 23.108 0.000 4.697
Li 8.971 -1.876 1.688
Li 8.608 0.823 3.475
Li 9.255 1.053 0.291
Li 16.082 1.876 3.404
Li 16.445 -0.823 1.617
Li 15.798 -1.053 4.801
Li 11.964 1.976 2.133
Li 13.518 0.735 0.852
Li 12.837 1.241 4.206
Li 13.090 -1.976 2.959
Li 11.535 -0.735 4.240
Li 12.217 -1.241 0.886
Ta 6.246 0.000 1.270
Ta 18.807 0.000 3.823
N 14.002 2.061 2.723
N 8.173 0.000 1.661
N 16.881 0.000 3.431
N 14.321 -1.134 1.151
N 13.610 -0.927 4.649
N 11.443 0.927 0.443
N 10.732 1.134 3.941
N 11.052 -2.061 2.369
O 0.000 0.000 0.000
```

spin magnetization = 0.002 μB per formula unit
calculated density = 3.76 Mg/m³
DFT formation energy = -951 meV per atom
symmetry = R-3, No. 148

# 2
Material: Mg6SnW
Method: DFT, PBE
State: optimized geometry Values from VASP.

```
&SYSTEM
  ibrav = 0, nat = 16, ntyp = 3
/
ATOMIC_SPECIES
Mg 24.30 Mg.upf
Sn 118.71 Sn.upf
W 183.84 W.upf
CELL_PARAMETERS angstrom
-4.997 -1.032 0.160
0.867 -4.738 -3.487
1.551 -6.157 8.751
ATOMIC_POSITIONS angstrom
Mg -0.424 -9.725 5.490
Mg -0.860 -7.344 7.243
Mg 1.112 -4.718 4.296
Mg 1.570 -7.221 2.453
Mg 1.729 -7.509 5.563
Mg 1.278 -5.071 7.208
Mg -1.633 -4.278 2.858
Mg -1.202 -6.634 1.125
Mg 0.769 -4.008 -1.823
Mg 0.361 -1.774 -0.179
Mg 0.520 -2.062 2.931
Mg 0.936 -4.361 1.089
Sn -1.029 -6.998 4.183
Sn -2.238 -1.551 1.551
W -1.462 -4.630 5.927
W -1.804 -3.920 -0.192
```

spin magnetization = 0.006 μB per formula unit
calculated density = 4.54 Mg/m³
DFT formation energy = 235 meV per atom
energy above the most stable polymorph in this dataset = 0.0140 eV per atom